(1)
Mg14ZrGa after structural relaxation. Source: the Materials Project, functional PBE.

POSCAR file:
```
Mg14ZrGa
1.0
10.2471 0.0000 0.0000
0.0000 3.1093 5.5638
0.0000 -3.1093 5.5638
Mg Zr Ga
14 1 1
Direct
0.0000 0.0000 0.0000
0.0000 0.0009 0.4985
0.0000 0.4985 0.0009
0.0000 0.4995 0.4995
0.2498 0.6636 0.6636
0.2530 0.1673 0.6655
0.2530 0.6655 0.1673
0.2548 0.1641 0.1641
0.5000 0.5043 0.9978
0.5000 0.9978 0.5043
0.7452 0.1641 0.1641
0.7470 0.1673 0.6655
0.7470 0.6655 0.1673
0.7502 0.6636 0.6636
0.5000 0.5027 0.5027
0.5000 0.9969 0.9969
```

## Properties
V = 354.5 Å³/cell
Energy of formation from the pure elements = -0.0156 eV per atom
Energy above the lowest structure with this stoichiometry = 0.000 eV/atom

(2)
Ca2TiSbO6 after structural relaxation. Source: the Materials Project, functional PBE.

POSCAR file:
```
Ca2TiSbO6
1.0
0.0000 4.0318 4.0318
4.0318 0.0000 4.0318
4.0318 4.0318 0.0000
Ca Ti Sb O
2 1 1 6
Direct
0.2500 0.2500 0.2500
0.7500 0.7500 0.7500
0.0000 0.0000 0.0000
0.5000 0.5000 0.5000
0.2434 0.2434 0.7566
0.2434 0.7566 0.2434
0.2434 0.7566 0.7566
0.7566 0.2434 0.2434
0.7566 0.2434 0.7566
0.7566 0.7566 0.2434
```

## Properties
V = 131.1 Å³/cell
Energy of formation from the pure elements = -2.8121 eV per atom

(3)
MnCoGe after structural relaxation. Source: the Materials Project, functional PBE.

POSCAR file:
```
MnCoGe
1.0
5.8118 0.0000 0.0000
0.0000 3.7989 0.0000
0.0000 0.0000 7.0570
Mn Co Ge
4 4 4
Direct
0.0285 0.2500 0.1951
0.4715 0.7500 0.6951
0.5285 0.2500 0.3049
0.9715 0.7500 0.8049
0.1595 0.2500 0.5617
0.3405 0.7500 0.0617
0.6595 0.2500 0.9383
0.8405 0.7500 0.4383
0.2420 0.7500 0.3831
0.2580 0.2500 0.8831
0.7420 0.7500 0.1169
0.7580 0.2500 0.6169
```

## Properties
V = 155.8 Å³/cell
Energy of formation from the pure elements = -0.2015 eV per atom